Record 1
{"formula": "Si2WO6", "functional": "GGA+U", "state": "relaxed", "lattice": [[5.142, 0.000, 0.000], [0.000, 10.715, 0.000], [0.000, 0.000, 19.864]], "species": ["Si", "Si", "Si", "Si", "Si", "Si", "Si", "Si", "Si", "Si", "Si", "Si", "Si", "Si", "Si", "Si", "W", "W", "W", "W", "W", "W", "W", "W", "O", "O", "O", "O", "O", "O", "O", "O", "O", "O", "O", "O", "O", "O", "O", "O", "O", "O", "O", "O", "O", "O", "O", "O", "O", "O", "O", "O", "O", "O", "O", "O", "O", "O", "O", "O", "O", "O", "O", "O", "O", "O", "O", "O", "O", "O", "O", "O"], "fractional_positions": [[0.619, 0.170, 0.775], [0.758, 0.329, 0.474], [0.742, 0.329, 0.974], [0.881, 0.670, 0.225], [0.119, 0.830, 0.725], [0.381, 0.330, 0.275], [0.258, 0.171, 0.474], [0.758, 0.829, 0.026], [0.742, 0.829, 0.526], [0.881, 0.170, 0.275], [0.381, 0.830, 0.225], [0.619, 0.670, 0.725], [0.242, 0.671, 0.526], [0.119, 0.330, 0.775], [0.242, 0.171, 0.974], [0.258, 0.671, 0.026], [0.436, 0.548, 0.874], [0.564, 0.452, 0.126], [0.936, 0.452, 0.626], [0.064, 0.548, 0.374], [0.436, 0.048, 0.626], [0.564, 0.952, 0.374], [0.936, 0.952, 0.874], [0.064, 0.048, 0.126], [0.812, 0.045, 0.319], [0.321, 0.546, 0.069], [0.188, 0.955, 0.681], [0.763, 0.855, 0.945], [0.263, 0.645, 0.945], [0.965, 0.718, 0.045], [0.865, 0.141, 0.194], [0.135, 0.359, 0.694], [0.763, 0.355, 0.555], [0.865, 0.641, 0.306], [0.312, 0.955, 0.181], [0.737, 0.855, 0.445], [0.679, 0.454, 0.931], [0.365, 0.359, 0.194], [0.688, 0.545, 0.681], [0.321, 0.046, 0.431], [0.312, 0.455, 0.319], [0.174, 0.218, 0.294], [0.326, 0.218, 0.794], [0.535, 0.218, 0.955], [0.737, 0.355, 0.055], [0.635, 0.141, 0.694], [0.821, 0.954, 0.069], [0.174, 0.718, 0.206], [0.237, 0.645, 0.445], [0.635, 0.641, 0.806], [0.679, 0.954, 0.569], [0.263, 0.145, 0.555], [0.179, 0.046, 0.931], [0.674, 0.282, 0.294], [0.188, 0.455, 0.819], [0.826, 0.282, 0.794], [0.826, 0.782, 0.706], [0.821, 0.454, 0.431], [0.237, 0.145, 0.055], [0.179, 0.546, 0.569], [0.326, 0.718, 0.706], [0.035, 0.282, 0.955], [0.465, 0.282, 0.455], [0.674, 0.782, 0.206], [0.465, 0.782, 0.045], [0.535, 0.718, 0.545], [0.035, 0.782, 0.545], [0.365, 0.859, 0.306], [0.688, 0.045, 0.819], [0.965, 0.218, 0.455], [0.135, 0.859, 0.806], [0.812, 0.545, 0.181]], "total_energy_ev_per_atom": -7.645, "polymorph_energy_ev_per_atom": 0.1299, "space_group": "Pbca, No. 61"}



Record 2
{"formula": "Na3Ni5O8", "functional": "GGA+U", "state": "relaxed", "lattice": [[-2.255, -3.526, -4.201], [-2.143, -5.312, 1.536], [-9.921, 2.408, 0.943]], "species": ["Na", "Na", "Na", "Na", "Na", "Na", "Ni", "Ni", "Ni", "Ni", "Ni", "Ni", "Ni", "Ni", "Ni", "Ni", "O", "O", "O", "O", "O", "O", "O", "O", "O", "O", "O", "O", "O", "O", "O", "O"], "fractional_positions": [[0.873, 0.379, 0.248], [0.627, 0.627, 0.749], [0.373, 0.373, 0.251], [0.379, 0.873, 0.248], [0.127, 0.621, 0.752], [0.621, 0.127, 0.752], [0.249, 0.249, 0.004], [0.751, 0.249, 0.000], [0.000, 0.500, 0.500], [0.751, 0.751, 0.996], [0.500, 0.500, 0.500], [0.500, 0.000, 0.500], [0.249, 0.751, 0.000], [0.876, 0.876, 0.250], [0.124, 0.124, 0.750], [0.000, 0.000, 0.500], [0.837, 0.315, 0.606], [0.937, 0.408, 0.892], [0.564, 0.564, 0.098], [0.304, 0.304, 0.607], [0.436, 0.436, 0.902], [0.696, 0.696, 0.393], [0.063, 0.592, 0.108], [0.315, 0.837, 0.606], [0.163, 0.685, 0.394], [0.408, 0.937, 0.892], [0.053, 0.053, 0.110], [0.173, 0.173, 0.398], [0.827, 0.827, 0.602], [0.947, 0.947, 0.890], [0.685, 0.163, 0.394], [0.592, 0.063, 0.108]], "total_energy_ev_per_atom": -4.657, "space_group": "C2/m, No. 12"}



Record 3
{"formula": "VAs2Pb2O9", "functional": "GGA+U", "state": "relaxed", "lattice": [[16.705, 0.000, 0.000], [0.000, 7.094, 0.000], [0.000, 3.200, 6.619]], "species": ["V", "V", "V", "V", "As", "As", "As", "As", "As", "As", "As", "As", "Pb", "Pb", "Pb", "Pb", "Pb", "Pb", "Pb", "Pb", "O", "O", "O", "O", "O", "O", "O", "O", "O", "O", "O", "O", "O", "O", "O", "O", "O", "O", "O", "O", "O", "O", "O", "O", "O", "O", "O", "O", "O", "O", "O", "O", "O", "O", "O", "O"], "fractional_positions": [[0.255, 0.750, 0.777], [0.745, 0.250, 0.223], [0.755, 0.250, 0.723], [0.245, 0.750, 0.277], [0.420, 0.747, 0.502], [0.580, 0.253, 0.498], [0.920, 0.253, 0.998], [0.080, 0.747, 0.002], [0.163, 0.250, 0.506], [0.837, 0.750, 0.494], [0.663, 0.750, 0.994], [0.337, 0.250, 0.006], [0.036, 0.744, 0.514], [0.964, 0.256, 0.486], [0.536, 0.256, 0.986], [0.464, 0.744, 0.014], [0.380, 0.247, 0.512], [0.620, 0.753, 0.488], [0.880, 0.753, 0.988], [0.120, 0.247, 0.012], [0.277, 0.447, 0.834], [0.723, 0.553, 0.166], [0.777, 0.553, 0.666], [0.223, 0.447, 0.334], [0.899, 0.863, 0.608], [0.101, 0.137, 0.392], [0.399, 0.137, 0.892], [0.601, 0.863, 0.108], [0.018, 0.930, 0.833], [0.982, 0.070, 0.167], [0.518, 0.070, 0.667], [0.482, 0.930, 0.333], [0.099, 0.351, 0.625], [0.901, 0.649, 0.375], [0.599, 0.649, 0.875], [0.401, 0.351, 0.125], [0.477, 0.548, 0.672], [0.523, 0.452, 0.328], [0.977, 0.452, 0.828], [0.023, 0.548, 0.172], [0.730, 0.935, 0.837], [0.270, 0.065, 0.163], [0.230, 0.065, 0.663], [0.770, 0.935, 0.337], [0.284, 0.745, 0.001], [0.716, 0.255, 0.999], [0.784, 0.255, 0.499], [0.216, 0.745, 0.501], [0.361, 0.851, 0.632], [0.639, 0.149, 0.368], [0.861, 0.149, 0.868], [0.139, 0.851, 0.132], [0.141, 0.658, 0.864], [0.859, 0.342, 0.136], [0.641, 0.342, 0.636], [0.359, 0.658, 0.364]], "total_energy_ev_per_atom": -6.347, "space_group": "P2_1/c, No. 14"}



Record 4
{"formula": "ZnFe2As2O14", "functional": "GGA+U", "state": "relaxed", "lattice": [[9.808, 0.000, 0.000], [0.000, 5.594, 0.000], [0.000, 0.160, 10.005]], "species": ["Zn", "Zn", "Fe", "Fe", "Fe", "Fe", "As", "As", "As", "As", "O", "O", "O", "O", "O", "O", "O", "O", "O", "O", "O", "O", "O", "O", "O", "O", "O", "O", "O", "O", "O", "O", "O", "O", "O", "O", "O", "O"], "fractional_positions": [[0.000, 0.000, 0.000], [0.500, 0.500, 0.000], [0.143, 0.657, 0.452], [0.643, 0.843, 0.548], [0.857, 0.343, 0.548], [0.357, 0.157, 0.452], [0.427, 0.646, 0.297], [0.927, 0.854, 0.703], [0.573, 0.354, 0.703], [0.073, 0.146, 0.297], [0.489, 0.880, 0.393], [0.989, 0.620, 0.607], [0.511, 0.120, 0.607], [0.011, 0.380, 0.393], [0.483, 0.374, 0.359], [0.983, 0.126, 0.641], [0.517, 0.626, 0.641], [0.017, 0.874, 0.359], [0.505, 0.694, 0.143], [0.005, 0.806, 0.857], [0.495, 0.306, 0.857], [0.995, 0.194, 0.143], [0.254, 0.666, 0.280], [0.754, 0.834, 0.720], [0.746, 0.334, 0.720], [0.246, 0.166, 0.280], [0.240, 0.922, 0.528], [0.740, 0.578, 0.472], [0.760, 0.078, 0.472], [0.260, 0.422, 0.528], [0.827, 0.664, 0.100], [0.327, 0.836, 0.900], [0.173, 0.336, 0.900], [0.673, 0.164, 0.100], [0.264, 0.885, 0.002], [0.764, 0.615, 0.998], [0.736, 0.115, 0.998], [0.236, 0.385, 0.002]], "total_energy_ev_per_atom": -5.581, "space_group": "P2_1/c, No. 14"}